# Li2CrP2O7

A geometry-optimized Li2CrP2O7 structure (PBE with a Hubbard U, the Materials Project).

Geometry as CIF:
```
data_Li2CrP2O7
_space_group_name_H-M_alt 'P -1'
_space_group_IT_number 2
_space_group_name_Hall '-P 1'
_cell_length_a 9.870
_cell_length_b 9.914
_cell_length_c 11.417
_cell_angle_alpha 102.25
_cell_angle_beta 90.04
_cell_angle_gamma 90.11
loop_
_atom_site_label
_atom_site_type_symbol
_atom_site_fract_x
_atom_site_fract_y
_atom_site_fract_z
Li1 Li 0.076 0.170 0.047
Li2 Li 0.089 0.158 0.542
Li3 Li 0.109 0.584 0.527
Li4 Li 0.220 0.890 0.054
Li5 Li 0.279 0.390 0.054
Li6 Li 0.392 0.085 0.526
Li7 Li 0.412 0.659 0.542
Li8 Li 0.423 0.671 0.046
Cr1 Cr 0.075 0.299 0.827
Cr2 Cr 0.215 0.769 0.327
Cr3 Cr 0.284 0.269 0.327
Cr4 Cr 0.425 0.799 0.828
P1 P 0.049 0.029 0.262
P2 P 0.062 0.441 0.256
P3 P 0.155 0.625 0.922
P4 P 0.202 0.881 0.605
P5 P 0.299 0.381 0.604
P6 P 0.345 0.125 0.924
P7 P 0.438 0.941 0.255
P8 P 0.450 0.530 0.262
O1 O 0.041 0.880 0.289
O2 O 0.061 0.441 0.388
O3 O 0.072 0.729 0.012
O4 O 0.080 0.583 0.224
O5 O 0.084 0.024 0.132
O6 O 0.086 0.618 0.792
O7 O 0.100 0.906 0.721
O8 O 0.128 0.777 0.502
O9 O 0.141 0.121 0.354
O10 O 0.161 0.478 0.944
O11 O 0.169 0.336 0.189
O12 O 0.172 0.318 0.645
O13 O 0.203 0.187 0.915
O14 O 0.220 0.020 0.571
O15 O 0.282 0.520 0.571
O16 O 0.298 0.685 0.914
O17 O 0.328 0.818 0.647
O18 O 0.330 0.837 0.188
O19 O 0.337 0.979 0.946
O20 O 0.359 0.623 0.354
O21 O 0.373 0.278 0.501
O22 O 0.400 0.405 0.720
O23 O 0.414 0.118 0.794
O24 O 0.415 0.525 0.132
O25 O 0.421 0.083 0.224
O26 O 0.429 0.229 0.013
O27 O 0.440 0.940 0.387
O28 O 0.457 0.382 0.290
```

Relative energy among the computed polymorphs, eV per atom: 0.031
V, Å³ per cell: 1091.7